1.
DFT (GGA+U) results for an optimized crystal structure of LiFe2B2O6.

Calculated values
ΔH_f (0 K) = -2.2650 eV per atom
V = 10.997 A^3/atom

Unit cell a=5.3014 b=9.0385 c=10.1032 alpha=89.79 beta=88.19 gamma=89.88
Closest atoms and distances in Å follow each position.
Fractional coordinates of all 44 atoms:
Li (0.0000, 0.0000, 0.0000)  4 O 1.99-2.17
Li (0.0159, 0.9952, 0.4872)  3 O 1.90-2.03
Li (0.5123, 0.4935, 0.4873)  4 O 1.93-2.08
Li (0.6943, 0.9823, 0.7408)  4 O 1.97-2.09
Fe (0.0212, 0.3406, 0.4576)  5 O 1.97-2.17
Fe (0.0216, 0.6556, 0.9556)  5 O 1.87-2.09
Fe (0.1960, 0.1686, 0.7111)  5 O 1.91-2.11
Fe (0.1980, 0.8232, 0.2149)  4 O 1.90-2.06
Fe (0.5040, 0.1616, 0.9674)  5 O 2.01-2.24
Fe (0.5198, 0.8370, 0.4616)  3 O 1.99-2.16
Fe (0.6865, 0.6441, 0.7168)  3 O 1.97-2.13
Fe (0.6896, 0.3279, 0.2129)  4 O 1.87-2.02
B (0.0104, 0.3262, 0.9588)  3 O 1.35-1.43
B (0.0179, 0.6652, 0.4603)  3 O 1.35-1.44
B (0.1831, 0.1608, 0.2111)  3 O 1.38-1.39
B (0.1930, 0.8346, 0.7163)  3 O 1.38-1.41
B (0.5249, 0.1642, 0.4626)  3 O 1.37-1.41
B (0.5293, 0.8228, 0.9602)  3 O 1.38-1.42
B (0.6814, 0.3164, 0.7025)  3 O 1.34-1.42
B (0.6927, 0.6644, 0.2087)  3 O 1.34-1.41
O (0.0370, 0.2773, 0.2562)  1 B 1.38
O (0.0573, 0.7134, 0.7623)  1 B 1.38
O (0.0595, 0.9682, 0.7009)  1 B 1.41
O (0.0802, 0.0211, 0.1962)  1 B 1.39
O (0.1286, 0.4585, 0.9477)  1 B 1.35
O (0.1292, 0.8027, 0.4164)  1 B 1.44
O (0.1318, 0.1940, 0.9126)  1 B 1.43
O (0.1625, 0.5419, 0.4617)  1 B 1.35
O (0.2682, 0.1625, 0.5047)  1 B 1.41
O (0.2698, 0.8186, 0.0000)  1 B 1.42
O (0.4333, 0.1821, 0.1741)  1 B 1.38
O (0.4477, 0.8291, 0.6816)  1 B 1.39
O (0.5482, 0.7882, 0.2445)  1 B 1.40
O (0.5541, 0.4439, 0.6869)  1 B 1.34
O (0.5580, 0.1860, 0.7480)  1 B 1.42
O (0.5996, 0.5275, 0.2280)  1 B 1.34
O (0.6278, 0.2985, 0.4189)  1 B 1.40
O (0.6496, 0.9573, 0.9458)  1 B 1.38
O (0.6557, 0.6920, 0.9322)  1 B 1.38
O (0.6674, 0.0383, 0.4694)  1 B 1.37
O (0.7642, 0.6660, 0.5000)  1 B 1.39
O (0.7736, 0.3094, 0.0174)  1 B 1.38
O (0.9361, 0.3044, 0.6658)  1 B 1.39
O (0.9412, 0.6867, 0.1579)  1 B 1.41

***

2.
DFT (GGA+U) results for an optimized crystal structure of Li3Fe3B4O12.

Calculated values
ΔH_f (0 K) = -2.3179 eV per atom
V = 10.679 A^3/atom

Unit cell a=5.2216 b=9.0671 c=10.9917 alpha=90.00 beta=115.46 gamma=90.00
Closest atoms and distances in Å follow each position.
Fractional coordinates of all 44 atoms:
Li (0.0000, 0.2157, 0.0000)  3 O 1.95-1.98
Li (0.0000, 0.7843, 0.5000)  3 O 1.95-1.98
Li (0.3546, 0.2277, 0.4196)  3 O 2.01-2.07
Li (0.3546, 0.7723, 0.9196)  3 O 2.01-2.07
Li (0.5975, 0.2701, 0.2357)  3 O 1.95-1.98
Li (0.5975, 0.7299, 0.7357)  3 O 1.95-1.98
Fe (0.4690, 0.4228, 0.9698)  4 O 1.90-2.02
Fe (0.4690, 0.5772, 0.4698)  4 O 1.90-2.02
Fe (0.5259, 0.0422, 0.7180)  5 O 1.96-2.16
Fe (0.5259, 0.9578, 0.2180)  5 O 1.96-2.16
Fe (0.9578, 0.2795, 0.6508)  4 O 1.88-1.92
Fe (0.9578, 0.7205, 0.1508)  4 O 1.88-1.92
B (0.0594, 0.0590, 0.2192)  3 O 1.35-1.41
B (0.0594, 0.9410, 0.7192)  3 O 1.35-1.41
B (0.4768, 0.0916, 0.9714)  3 O 1.38-1.41
B (0.4768, 0.9084, 0.4714)  3 O 1.38-1.41
B (0.5134, 0.4005, 0.7025)  3 O 1.37-1.40
B (0.5134, 0.5995, 0.2025)  3 O 1.37-1.40
B (0.9385, 0.4475, 0.4491)  3 O 1.37-1.42
B (0.9385, 0.5525, 0.9491)  3 O 1.37-1.42
O (0.1058, 0.0877, 0.6905)  1 B 1.41
O (0.1058, 0.9123, 0.1905)  1 B 1.41
O (0.1811, 0.4249, 0.4327)  1 B 1.37
O (0.1811, 0.5751, 0.9327)  1 B 1.37
O (0.2779, 0.1509, 0.2294)  1 B 1.38
O (0.2779, 0.8491, 0.7294)  1 B 1.38
O (0.2922, 0.3972, 0.7424)  1 B 1.40
O (0.2922, 0.6028, 0.2424)  1 B 1.40
O (0.3607, 0.2266, 0.9876)  1 B 1.41
O (0.3607, 0.7734, 0.4876)  1 B 1.41
O (0.4049, 0.0355, 0.5186)  1 B 1.38
O (0.4049, 0.9645, 0.0186)  1 B 1.38
O (0.6042, 0.4710, 0.1674)  1 B 1.37
O (0.6042, 0.5290, 0.6674)  1 B 1.37
O (0.6386, 0.2662, 0.6938)  1 B 1.40
O (0.6386, 0.7338, 0.1938)  1 B 1.40
O (0.6585, 0.0906, 0.9098)  1 B 1.38
O (0.6585, 0.9094, 0.4098)  1 B 1.38
O (0.7857, 0.3237, 0.4622)  1 B 1.42
O (0.7857, 0.6763, 0.9622)  1 B 1.42
O (0.8295, 0.1005, 0.2377)  1 B 1.35
O (0.8295, 0.8995, 0.7377)  1 B 1.35
O (0.8350, 0.4160, 0.9608)  1 B 1.38
O (0.8350, 0.5840, 0.4608)  1 B 1.38

***

3.
DFT (GGA+U) results for an optimized crystal structure of LiFe2B2O6.

Calculated values
ΔH_f (0 K) = -2.2576 eV per atom
V = 11.122 A^3/atom

Unit cell a=5.2580 b=5.2777 c=20.1226 alpha=91.11 beta=90.64 gamma=118.74
Closest atoms and distances in Å follow each position.
Fractional coordinates of all 44 atoms:
Li (0.0000, 0.0000, 0.0000)  3 O 1.93-2.14
Li (0.0027, 0.9935, 0.7550)  3 O 1.91-2.13
Li (0.2992, 0.3177, 0.6216)  3 O 1.92-2.12
Li (0.3178, 0.2903, 0.3712)  3 O 1.92-2.12
Fe (0.3288, 0.6385, 0.9825)  4 O 1.98-2.14
Fe (0.3311, 0.6723, 0.4826)  4 O 1.89-2.08
Fe (0.6322, 0.9800, 0.8651)  4 O 1.98-2.08
Fe (0.6604, 0.3230, 0.2338)  5 O 1.88-2.10
Fe (0.6615, 0.9651, 0.3562)  4 O 1.97-2.18
Fe (0.6677, 0.3237, 0.7363)  5 O 1.92-2.14
Fe (0.9672, 0.6543, 0.6076)  4 O 1.97-2.14
Fe (0.9734, 0.6345, 0.1090)  5 O 1.91-2.10
B (0.3169, 0.6549, 0.2332)  3 O 1.35-1.41
B (0.3212, 0.6552, 0.7314)  3 O 1.38-1.41
B (0.6440, 0.9798, 0.1088)  3 O 1.37-1.40
B (0.6498, 0.9902, 0.6108)  3 O 1.36-1.41
B (0.6526, 0.3055, 0.9859)  3 O 1.36-1.41
B (0.6660, 0.3224, 0.4813)  3 O 1.36-1.39
B (0.9911, 0.6417, 0.3595)  3 O 1.35-1.41
B (0.9941, 0.6534, 0.8544)  3 O 1.35-1.43
O (0.0015, 0.9031, 0.3613)  1 B 1.35
O (0.0499, 0.6283, 0.2115)  1 B 1.41
O (0.0573, 0.6494, 0.7153)  1 B 1.41
O (0.2344, 0.6176, 0.3811)  1 B 1.41
O (0.2385, 0.6619, 0.8811)  1 B 1.37
O (0.3388, 0.4020, 0.7254)  1 B 1.39
O (0.3645, 0.4248, 0.2355)  1 B 1.35
O (0.3726, 0.7630, 0.0895)  1 B 1.38
O (0.3908, 0.2980, 0.9852)  1 B 1.36
O (0.4003, 0.7407, 0.5875)  1 B 1.41
O (0.4421, 0.3816, 0.4731)  1 B 1.36
O (0.5320, 0.9250, 0.2550)  1 B 1.38
O (0.5631, 0.9151, 0.7484)  1 B 1.38
O (0.6253, 0.2350, 0.6312)  1 B 1.41
O (0.6278, 0.0527, 0.4629)  1 B 1.38
O (0.6715, 0.2441, 0.1322)  1 B 1.40
O (0.6815, 0.0633, 0.9674)  1 B 1.40
O (0.7440, 0.3890, 0.3367)  1 B 1.40
O (0.7712, 0.3795, 0.8293)  1 B 1.43
O (0.8827, 0.9422, 0.1024)  1 B 1.37
O (0.9056, 0.5557, 0.0084)  1 B 1.41
O (0.9126, 0.9979, 0.6148)  1 B 1.36
O (0.9330, 0.5295, 0.5070)  1 B 1.39
O (0.9582, 0.8882, 0.8462)  1 B 1.35

***

4.
DFT (GGA+U) results for an optimized crystal structure of LiFe2B2O6.

Calculated values
ΔH_f (0 K) = -2.2757 eV per atom
V = 11.067 A^3/atom

Unit cell a=5.2661 b=5.2710 c=20.1657 alpha=88.99 beta=89.92 gamma=60.47
Closest atoms and distances in Å follow each position.
Fractional coordinates of all 44 atoms:
Li (0.0000, 0.0000, 0.0000)  3 O 1.92-2.07
Li (0.0048, 0.9929, 0.7500)  3 O 1.92-2.03
Li (0.6785, 0.2954, 0.3688)  3 O 1.89-2.00
Li (0.6982, 0.3211, 0.6207)  4 O 1.94-2.07
Fe (0.0120, 0.6482, 0.1334)  4 O 1.87-2.07
Fe (0.0293, 0.6551, 0.6364)  5 O 2.01-2.22
Fe (0.3316, 0.3269, 0.5098)  4 O 1.90-2.06
Fe (0.3364, 0.9688, 0.3875)  5 O 1.97-2.18
Fe (0.3504, 0.3352, 0.0113)  5 O 1.97-2.18
Fe (0.3543, 0.9842, 0.8856)  5 O 1.90-2.11
Fe (0.6669, 0.6725, 0.2608)  4 O 1.90-2.04
Fe (0.6678, 0.6432, 0.7622)  5 O 1.99-2.22
B (0.0087, 0.6494, 0.3863)  3 O 1.35-1.42
B (0.0123, 0.6531, 0.8883)  3 O 1.37-1.39
B (0.3331, 0.3284, 0.2624)  3 O 1.37-1.39
B (0.3399, 0.3189, 0.7617)  3 O 1.37-1.42
B (0.3415, 0.9910, 0.1357)  3 O 1.35-1.41
B (0.3531, 0.9844, 0.6369)  3 O 1.38-1.41
B (0.6732, 0.6610, 0.5130)  3 O 1.37-1.39
B (0.6766, 0.6573, 0.0107)  3 O 1.35-1.42
O (0.0488, 0.8926, 0.8925)  1 B 1.37
O (0.0693, 0.5432, 0.2355)  1 B 1.39
O (0.0831, 0.0046, 0.6449)  1 B 1.38
O (0.0867, 0.5760, 0.7431)  1 B 1.40
O (0.1140, 0.9421, 0.1282)  1 B 1.35
O (0.2371, 0.3808, 0.9070)  1 B 1.38
O (0.2654, 0.3973, 0.4089)  1 B 1.42
O (0.3150, 0.0741, 0.7826)  1 B 1.42
O (0.3224, 0.2539, 0.1167)  1 B 1.39
O (0.3612, 0.0619, 0.2825)  1 B 1.39
O (0.3705, 0.2289, 0.6137)  1 B 1.41
O (0.4258, 0.9130, 0.9889)  1 B 1.41
O (0.4508, 0.9267, 0.4900)  1 B 1.38
O (0.5588, 0.3809, 0.2732)  1 B 1.37
O (0.6068, 0.7273, 0.6534)  1 B 1.39
O (0.6078, 0.2999, 0.7575)  1 B 1.37
O (0.6102, 0.7702, 0.1618)  1 B 1.41
O (0.6303, 0.4262, 0.5212)  1 B 1.37
O (0.6927, 0.3939, 0.0107)  1 B 1.35
O (0.7472, 0.6825, 0.8674)  1 B 1.39
O (0.7723, 0.6175, 0.3642)  1 B 1.41
O (0.9161, 0.6867, 0.0329)  1 B 1.42
O (0.9425, 0.6332, 0.5294)  1 B 1.39
O (0.9926, 0.9135, 0.3850)  1 B 1.35

***

no.,total energy after the MP2020 corrections (eV/atom)
1,-7.8918
2,-7.6465
3,-7.8845
4,-7.9026